Density functional theory data (GGA-PBE) for a relaxed structure of Y6MgSi2S14.

```
Y6MgSi2S14
1.0
9.956 0.000 0.000
-4.978 8.622 0.000
0.000 0.000 5.620
Y Mg Si S
6 1 2 14
Cartesian
-2.593 4.890 0.000
2.589 0.858 2.828
2.040 3.932 0.000
0.553 8.423 0.000
4.427 5.951 2.828
7.919 1.813 2.828
4.978 2.874 1.484
0.000 0.000 5.150
0.000 5.748 2.314
0.000 0.000 1.634
-3.472 7.358 4.298
0.342 1.937 4.298
-0.344 3.811 1.470
-1.505 7.015 1.470
0.000 5.748 4.425
3.293 1.468 0.142
2.910 3.606 2.857
1.849 6.419 1.470
5.378 0.717 2.857
4.603 5.036 0.142
3.130 7.950 4.298
7.038 2.118 0.142
6.646 4.299 2.857
```

Calculated values
Magnetic moment ... 0.00 Bohr magnetons per cell
ΔH_f (0 K) ... -1959.9 meV/atom
Crystal system ... trigonal


Density functional theory data (GGA-PBE) for a relaxed structure of CrTe.

```
CrTe
1.0
6.244 0.000 0.000
0.000 6.244 0.000
0.000 0.000 6.244
Cr Te
4 4
Cartesian
0.000 0.000 0.000
0.000 3.122 3.122
3.122 0.000 3.122
3.122 3.122 0.000
1.561 1.561 4.683
1.561 4.683 1.561
4.683 1.561 1.561
4.683 4.683 4.683
```

Calculated values
Magnetic moment ... 16.00 Bohr magnetons per cell
ΔH_f (0 K) ... -87.5 meV/atom
Crystal system ... cubic


Question: Number 2 is which compound?
Answer: CrTe